Here is a relaxed structure of Zn11Co2 from Materials Project. Energies are from GGA-PBE. Values from VASP.

Results
ρ: 7.68 g cm⁻³

```
&SYSTEM
  ibrav = 0, nat = 26, ntyp = 2
/
ATOMIC_SPECIES
Zn 65.41 Zn.upf
Co 58.93 Co.upf
ATOMIC_POSITIONS crystal
Zn 0.3542 0.3542 0.0000
Zn 0.0000 0.6458 0.6458
Zn 0.3542 0.0000 0.3542
Zn 0.0000 0.3542 0.3542
Zn 0.6458 0.0000 0.6458
Zn 0.6458 0.6458 0.0000
Zn 0.2077 0.2077 0.2077
Zn 0.0000 0.0000 0.7923
Zn 0.0000 0.7923 0.0000
Zn 0.7923 0.0000 0.0000
Zn 0.3891 0.7412 0.7412
Zn 0.6479 0.0000 0.2588
Zn 0.6479 0.2588 0.0000
Zn 0.0000 0.6479 0.2588
Zn 0.7412 0.3891 0.7412
Zn 0.2588 0.6479 0.0000
Zn 0.0000 0.2588 0.6479
Zn 0.2588 0.0000 0.6479
Zn 0.7412 0.7412 0.3891
Zn 0.6109 0.3521 0.3521
Zn 0.3521 0.6109 0.3521
Zn 0.3521 0.3521 0.6109
Co 0.3446 0.0000 0.0000
Co 0.0000 0.3446 0.0000
Co 0.0000 0.0000 0.3446
Co 0.6554 0.6554 0.6554
CELL_PARAMETERS angstrom
-2.1273 -7.1017 2.3508
3.5891 3.6931 5.8280
-6.3064 4.0244 -2.1259
```

---

Here is a relaxed structure of TbPmIr2 from Materials Project. Energies are from GGA-PBE. Values from VASP.

Results
ρ: 13.47 g cm⁻³

```
&SYSTEM
  ibrav = 0, nat = 4, ntyp = 3
/
ATOMIC_SPECIES
Tb 158.93 Tb.upf
Pm 145.00 Pm.upf
Ir 192.22 Ir.upf
ATOMIC_POSITIONS crystal
Tb 0.0000 0.0000 0.0000
Pm 0.5000 0.5000 0.5000
Ir 0.2500 0.2500 0.2500
Ir 0.7500 0.7500 0.7500
CELL_PARAMETERS angstrom
-0.7570 0.8503 4.7988
1.5475 4.2197 2.0309
-3.2773 3.4034 1.4144
```

---

Here is a relaxed structure of CaAg2O4 from Materials Project. Energies are from GGA-PBE. Values from VASP.

Results
Polymorph energy (0 for the lowest one): 259 meV/atom
ρ: 5.16 g cm⁻³

```
&SYSTEM
  ibrav = 0, nat = 42, ntyp = 3
/
ATOMIC_SPECIES
Ca 40.08 Ca.upf
Ag 107.87 Ag.upf
O 16.00 O.upf
ATOMIC_POSITIONS crystal
Ca 0.3333 0.6667 0.9547
Ca 0.0000 0.0000 0.6216
Ca 0.0000 0.0000 0.0002
Ca 0.6667 0.3333 0.2842
Ca 0.3333 0.6667 0.7143
Ca 0.0000 0.0000 0.3738
Ag 0.8344 0.6687 0.8339
Ag 0.3313 0.1656 0.8339
Ag 0.4986 0.9973 0.4990
Ag 0.8344 0.1656 0.8339
Ag 0.6667 0.3333 0.6658
Ag 0.0027 0.5014 0.4990
Ag 0.1691 0.3382 0.1663
Ag 0.4986 0.5014 0.4990
Ag 0.1691 0.8309 0.1663
Ag 0.3333 0.6667 0.3340
Ag 0.6618 0.8309 0.1663
Ag 0.6667 0.3333 0.0421
O 0.6946 0.8473 0.9031
O 0.0000 0.0000 0.7601
O 0.1527 0.8473 0.9031
O 0.1527 0.3054 0.9031
O 0.5253 0.0507 0.7606
O 0.3744 0.1872 0.5766
O 0.5253 0.4747 0.7606
O 0.6667 0.3333 0.9084
O 0.8128 0.1872 0.5766
O 0.6667 0.3333 0.4288
O 0.9493 0.4747 0.7606
O 0.8128 0.6256 0.5766
O 0.1841 0.3682 0.4214
O 0.0421 0.5211 0.2453
O 0.1841 0.8159 0.4214
O 0.3333 0.6667 0.5732
O 0.3333 0.6667 0.0940
O 0.4789 0.5211 0.2453
O 0.6318 0.8159 0.4214
O 0.4789 0.9579 0.2453
O 0.8450 0.6901 0.0980
O 0.0000 0.0000 0.2333
O 0.8450 0.1550 0.0980
O 0.3099 0.1550 0.0980
CELL_PARAMETERS angstrom
-0.4723 6.0752 2.6507
-1.9668 -1.0563 -6.2589
-14.8799 -3.4511 5.2584
```

---

Here is a relaxed structure of Cs2NaMgF6 from Materials Project. Energies are from GGA-PBE. Values from VASP.

Results
ρ: 4.06 g cm⁻³

```
&SYSTEM
  ibrav = 0, nat = 10, ntyp = 4
/
ATOMIC_SPECIES
Cs 132.91 Cs.upf
Na 22.99 Na.upf
Mg 24.30 Mg.upf
F 19.00 F.upf
ATOMIC_POSITIONS crystal
Cs 0.2500 0.2500 0.2500
Cs 0.7500 0.7500 0.7500
Na 0.0000 0.0000 0.0000
Mg 0.5000 0.5000 0.5000
F 0.2711 0.7289 0.7289
F 0.2711 0.7289 0.2711
F 0.7289 0.2711 0.7289
F 0.7289 0.7289 0.2711
F 0.2711 0.2711 0.7289
F 0.7289 0.2711 0.2711
CELL_PARAMETERS angstrom
-5.0603 -1.7958 3.2442
-5.5539 2.7010 -1.1023
-4.5575 -3.2444 -2.8390
```

---

Here is a relaxed structure of SrGe2Ru2 from Materials Project. Energies are from GGA-PBE. Values from VASP.

Results
ρ: 7.35 g cm⁻³

```
&SYSTEM
  ibrav = 0, nat = 5, ntyp = 3
/
ATOMIC_SPECIES
Sr 87.62 Sr.upf
Ge 72.64 Ge.upf
Ru 101.07 Ru.upf
ATOMIC_POSITIONS crystal
Sr 0.0000 0.0000 0.0000
Ge 0.6404 0.6404 0.0000
Ge 0.3596 0.3596 0.0000
Ru 0.7500 0.2500 0.5000
Ru 0.2500 0.7500 0.5000
CELL_PARAMETERS angstrom
5.5836 -0.7372 -2.1692
2.8014 4.7401 -2.4717
-3.0271 -1.2578 5.0676
```

---

Here is a relaxed structure of Te4MoW2Se2 from Materials Project. Energies are from GGA-PBE. Values from VASP.

Results
Polymorph energy (0 for the lowest one): 0 meV/atom
ρ: 5.59 g cm⁻³

```
&SYSTEM
  ibrav = 0, nat = 9, ntyp = 4
/
ATOMIC_SPECIES
Te 127.60 Te.upf
Mo 95.94 Mo.upf
W 183.84 W.upf
Se 78.96 Se.upf
ATOMIC_POSITIONS crystal
Te 0.3333 0.6667 0.4043
Te 0.6667 0.3333 0.5207
Te 0.6667 0.3333 0.6360
Te 0.3333 0.6667 0.2896
Mo 0.6667 0.3333 0.3470
W 0.3333 0.6667 0.1157
W 0.3333 0.6667 0.5784
Se 0.6667 0.3333 0.0649
Se 0.6667 0.3333 0.1664
CELL_PARAMETERS angstrom
1.7384 -3.0110 0.0000
1.7384 3.0110 0.0000
0.0000 0.0000 32.1003
```

---

Here is a relaxed structure of LaP3Au2 from Materials Project. Energies are from GGA-PBE. Values from VASP.

Results
ρ: 7.83 g cm⁻³

```
&SYSTEM
  ibrav = 0, nat = 24, ntyp = 3
/
ATOMIC_SPECIES
La 138.91 La.upf
P 30.97 P.upf
Au 196.97 Au.upf
ATOMIC_POSITIONS crystal
La 0.7500 0.9797 0.6407
La 0.2500 0.0203 0.3594
La 0.2500 0.5203 0.1406
La 0.7500 0.4797 0.8594
P 0.7500 0.7998 0.8315
P 0.2500 0.2002 0.1685
P 0.2500 0.7002 0.3315
P 0.7500 0.2998 0.6685
P 0.7500 0.0233 0.8565
P 0.2500 0.9767 0.1435
P 0.2500 0.4767 0.3565
P 0.7500 0.5233 0.6435
P 0.7500 0.6762 0.0420
P 0.2500 0.3238 0.9580
P 0.2500 0.8238 0.5420
P 0.7500 0.1762 0.4580
Au 0.7500 0.7622 0.4405
Au 0.2500 0.2378 0.5595
Au 0.2500 0.7378 0.9405
Au 0.7500 0.2622 0.0595
Au 0.7500 0.8431 0.1858
Au 0.2500 0.1569 0.8142
Au 0.2500 0.6569 0.6858
Au 0.7500 0.3431 0.3142
CELL_PARAMETERS angstrom
0.0000 -4.0797 0.0000
-9.4862 0.0000 0.0000
0.0000 0.0000 -13.7132
```

---

Number 1: energy relative to the elements -0.10 eV/atom, calculated volume 13.93 Å³ per atom. Number 2: energy relative to the elements -0.70 eV/atom, calculated volume 21.21 Å³ per atom. Number 3: energy relative to the elements -1.09 eV/atom, calculated volume 14.71 Å³ per atom. Number 4: energy relative to the elements -2.97 eV/atom, calculated volume 17.46 Å³ per atom. Number 5: energy relative to the elements -0.50 eV/atom, calculated volume 19.65 Å³ per atom. Number 6: energy relative to the elements -0.38 eV/atom, calculated volume 37.34 Å³ per atom. Number 7: energy relative to the elements -0.37 eV/atom, calculated volume 22.11 Å³ per atom.